Record 1
A plane-wave DFT calculation with PBE+U was carried out for a relaxed structure of FeSn3P6O24.

Values from the calculation:
* final energy: -0.24999 hartree per atom
* calculated volume: 14.764 Å³/atom
* crystal system: trigonal
* SG: R3, No. 146
* formation energy from the elements: -7555 kJ/mol of formula units

Cell: 9.043 9.043 9.043 Å, 58.25 58.25 58.25°
Fractional coordinates of all 34 atoms:
Fe: 0.000 0.000 0.000
Sn: 0.213 0.213 0.213
Sn: 0.500 0.500 0.500
Sn: 0.711 0.711 0.711
P: 0.109 0.390 0.817
P: 0.312 0.893 0.611
P: 0.390 0.817 0.109
P: 0.611 0.312 0.893
P: 0.817 0.109 0.390
P: 0.893 0.611 0.312
O: 0.075 0.446 0.281
O: 0.078 0.222 0.850
O: 0.137 0.366 0.983
O: 0.139 0.918 0.783
O: 0.222 0.850 0.078
O: 0.279 0.412 0.639
O: 0.281 0.075 0.446
O: 0.338 0.725 0.586
O: 0.366 0.983 0.137
O: 0.412 0.639 0.279
O: 0.446 0.281 0.075
O: 0.481 0.869 0.636
O: 0.566 0.795 0.936
O: 0.586 0.338 0.725
O: 0.636 0.481 0.869
O: 0.639 0.279 0.412
O: 0.725 0.586 0.338
O: 0.783 0.139 0.918
O: 0.795 0.936 0.566
O: 0.850 0.078 0.222
O: 0.869 0.636 0.481
O: 0.918 0.783 0.139
O: 0.936 0.566 0.795
O: 0.983 0.137 0.366

Record 2
A plane-wave DFT calculation with PBE+U was carried out for a relaxed structure of Li9Mn2Co5O16.

Values from the calculation:
* final energy: -0.21412 hartree per atom
* calculated volume: 8.960 Å³/atom
* distance to the lowest polymorph of the same formula: 0.028 eV/atom
* crystal system: triclinic
* SG: P1, No. 1
* formation energy from the elements: -5668 kJ/mol of formula units

Cell: 5.144 7.675 7.768 Å, 97.78 102.15 102.97°
Fractional coordinates of all 32 atoms:
Li: 0.000 0.000 0.000
Li: 0.000 0.377 0.117
Li: 0.002 0.873 0.618
Li: 0.003 0.127 0.365
Li: 0.006 0.495 0.493
Li: 0.013 0.257 0.754
Li: 0.502 0.498 0.992
Li: 0.995 0.744 0.236
Li: 0.997 0.617 0.878
Mn: 0.500 0.000 0.492
Mn: 0.502 0.747 0.747
Co: 0.496 0.253 0.233
Co: 0.498 0.375 0.625
Co: 0.504 0.615 0.358
Co: 0.504 0.868 0.119
Co: 0.507 0.126 0.873
O: 0.267 0.639 0.127
O: 0.268 0.377 0.373
O: 0.269 0.514 0.739
O: 0.272 0.122 0.612
O: 0.273 0.236 0.001
O: 0.276 0.000 0.260
O: 0.286 0.760 0.505
O: 0.287 0.882 0.867
O: 0.719 0.991 0.730
O: 0.723 0.238 0.490
O: 0.725 0.626 0.628
O: 0.727 0.878 0.374
O: 0.729 0.354 0.861
O: 0.733 0.754 0.977
O: 0.737 0.116 0.120
O: 0.742 0.503 0.262

Record 3
A plane-wave DFT calculation with PBE+U was carried out for a relaxed structure of FeH12C8S2N2O2.

Values from the calculation:
* final energy: -0.21949 hartree per atom
* calculated volume: 13.426 Å³/atom
* crystal system: triclinic
* SG: P-1, No. 2
* formation energy from the elements: -776 kJ/mol of formula units

Cell: 5.832 8.144 8.241 Å, 107.99 99.20 96.06°
Fractional coordinates of all 27 atoms:
Fe: 0.000 0.000 0.000
H: 0.010 0.486 0.269
H: 0.093 0.679 0.451
H: 0.194 0.364 0.684
H: 0.373 0.572 0.150
H: 0.409 0.778 0.114
H: 0.454 0.766 0.330
H: 0.546 0.234 0.670
H: 0.591 0.222 0.886
H: 0.627 0.428 0.850
H: 0.806 0.636 0.316
H: 0.907 0.321 0.549
H: 0.990 0.514 0.731
C: 0.009 0.376 0.684
C: 0.093 0.717 0.207
C: 0.346 0.709 0.197
C: 0.417 0.852 0.809
C: 0.583 0.148 0.191
C: 0.654 0.291 0.803
C: 0.907 0.283 0.793
C: 0.991 0.624 0.316
S: 0.342 0.198 0.258
S: 0.658 0.802 0.742
N: 0.240 0.885 0.854
N: 0.760 0.115 0.146
O: 0.030 0.203 0.870
O: 0.970 0.797 0.130

Record 4
A plane-wave DFT calculation with PBE+U was carried out for a relaxed structure of MgMn6O10F2.

Values from the calculation:
* final energy: -0.25439 hartree per atom
* calculated volume: 11.617 Å³/atom
* distance to the lowest polymorph of the same formula: 0.055 eV/atom
* crystal system: monoclinic
* SG: P2, No. 3
* formation energy from the elements: -3806 kJ/mol of formula units

Cell: 6.402 2.957 12.025 Å, 90.00 104.12 90.00°
Fractional coordinates of all 19 atoms:
Mg: 0.000 0.000 0.000
Mn: 0.000 0.575 0.500
Mn: 0.136 0.060 0.811
Mn: 0.384 0.551 0.219
Mn: 0.500 0.070 0.500
Mn: 0.616 0.551 0.781
Mn: 0.864 0.060 0.189
O: 0.165 0.501 0.929
O: 0.174 0.047 0.177
O: 0.200 0.073 0.510
O: 0.433 0.057 0.800
O: 0.439 0.567 0.392
O: 0.561 0.567 0.608
O: 0.567 0.057 0.200
O: 0.800 0.073 0.490
O: 0.826 0.047 0.823
O: 0.835 0.501 0.071
F: 0.069 0.599 0.692
F: 0.931 0.599 0.308

Record 5
A plane-wave DFT calculation with PBE+U was carried out for a relaxed structure of ZnFe2O4.

Values from the calculation:
* final energy: -0.22460 hartree per atom
* calculated volume: 11.265 Å³/atom
* distance to the lowest polymorph of the same formula: 0.023 eV/atom
* crystal system: trigonal
* SG: P3m1, No. 156
* formation energy from the elements: -1163 kJ/mol of formula units

Cell: 6.065 6.065 14.850 Å, 90.00 90.00 120.00°
Fractional coordinates of all 42 atoms:
Zn: 0.000 0.000 0.000
Zn: 0.000 0.000 0.244
Zn: 0.333 0.667 0.288
Zn: 0.333 0.667 0.665
Zn: 0.333 0.667 0.914
Zn: 0.667 0.333 0.582
Fe: 0.000 0.000 0.624
Fe: 0.004 0.502 0.123
Fe: 0.166 0.331 0.457
Fe: 0.166 0.834 0.457
Fe: 0.334 0.167 0.790
Fe: 0.498 0.502 0.123
Fe: 0.498 0.996 0.123
Fe: 0.667 0.333 0.333
Fe: 0.667 0.333 0.958
Fe: 0.669 0.834 0.457
Fe: 0.833 0.167 0.790
Fe: 0.833 0.666 0.790
O: 0.000 0.000 0.383
O: 0.000 0.000 0.863
O: 0.013 0.506 0.379
O: 0.153 0.306 0.710
O: 0.153 0.847 0.710
O: 0.178 0.355 0.199
O: 0.178 0.822 0.199
O: 0.305 0.152 0.537
O: 0.333 0.667 0.049
O: 0.333 0.667 0.528
O: 0.363 0.182 0.043
O: 0.494 0.506 0.379
O: 0.494 0.987 0.379
O: 0.514 0.028 0.869
O: 0.514 0.486 0.869
O: 0.645 0.822 0.199
O: 0.667 0.333 0.202
O: 0.667 0.333 0.717
O: 0.694 0.847 0.710
O: 0.818 0.182 0.043
O: 0.818 0.637 0.043
O: 0.848 0.152 0.537
O: 0.848 0.695 0.537
O: 0.972 0.486 0.869

Record 6
A plane-wave DFT calculation with PBE+U was carried out for a relaxed structure of K2CrF6.

Values from the calculation:
* final energy: -0.18195 hartree per atom
* calculated volume: 16.075 Å³/atom
* crystal system: cubic
* SG: Fm-3m, No. 225
* formation energy from the elements: -2506 kJ/mol of formula units

Cell: 5.892 5.892 5.892 Å, 60.00 60.00 60.00°
Fractional coordinates of all 9 atoms:
K: 0.250 0.250 0.250
K: 0.750 0.750 0.750
Cr: 0.000 0.000 0.000
F: 0.224 0.224 0.776
F: 0.224 0.776 0.224
F: 0.224 0.776 0.776
F: 0.776 0.224 0.224
F: 0.776 0.224 0.776
F: 0.776 0.776 0.224

Record 7
A plane-wave DFT calculation with PBE+U was carried out for a relaxed structure of YMn3O6.

Values from the calculation:
* final energy: -0.28763 hartree per atom
* calculated volume: 13.224 Å³/atom
* crystal system: monoclinic
* SG: C2/m, No. 12
* formation energy from the elements: -2292 kJ/mol of formula units

Cell: 6.266 6.266 15.287 Å, 93.89 93.89 62.14°
Fractional coordinates of all 40 atoms:
Y: 0.013 0.013 0.372
Y: 0.330 0.330 0.059
Y: 0.670 0.670 0.941
Y: 0.987 0.987 0.628
Mn: 0.000 0.000 0.000
Mn: 0.000 0.500 0.500
Mn: 0.167 0.662 0.828
Mn: 0.168 0.168 0.835
Mn: 0.327 0.327 0.672
Mn: 0.338 0.833 0.172
Mn: 0.500 0.000 0.500
Mn: 0.500 0.500 0.500
Mn: 0.662 0.167 0.828
Mn: 0.673 0.673 0.328
Mn: 0.832 0.832 0.165
Mn: 0.833 0.338 0.172
O: 0.012 0.012 0.764
O: 0.062 0.470 0.753
O: 0.149 0.149 0.108
O: 0.154 0.708 0.092
O: 0.175 0.175 0.590
O: 0.191 0.606 0.590
O: 0.292 0.846 0.908
O: 0.306 0.306 0.444
O: 0.314 0.314 0.916
O: 0.394 0.809 0.410
O: 0.470 0.062 0.753
O: 0.470 0.470 0.766
O: 0.530 0.530 0.234
O: 0.530 0.938 0.247
O: 0.606 0.191 0.590
O: 0.686 0.686 0.084
O: 0.694 0.694 0.556
O: 0.708 0.154 0.092
O: 0.809 0.394 0.410
O: 0.825 0.825 0.410
O: 0.846 0.292 0.908
O: 0.851 0.851 0.892
O: 0.938 0.530 0.247
O: 0.988 0.988 0.236

Record 8
A plane-wave DFT calculation with PBE+U was carried out for a relaxed structure of Li2Fe2CoO6.

Values from the calculation:
* final energy: -0.21960 hartree per atom
* calculated volume: 9.727 Å³/atom
* crystal system: monoclinic
* SG: C2/m, No. 12
* formation energy from the elements: -1780 kJ/mol of formula units

Cell: 6.755 6.755 5.872 Å, 104.92 104.92 24.46°
Fractional coordinates of all 11 atoms:
Li: 0.149 0.149 0.305
Li: 0.851 0.851 0.695
Fe: 0.160 0.160 0.833
Fe: 0.840 0.840 0.167
Co: 0.500 0.500 0.500
O: 0.005 0.005 0.715
O: 0.324 0.324 0.932
O: 0.346 0.346 0.402
O: 0.654 0.654 0.598
O: 0.676 0.676 0.068
O: 0.995 0.995 0.285

Record 9
A plane-wave DFT calculation with PBE+U was carried out for a relaxed structure of Eu2CoO4.

Values from the calculation:
* final energy: -0.32105 hartree per atom
* calculated volume: 12.416 Å³/atom
* distance to the lowest polymorph of the same formula: 0.000 eV/atom
* crystal system: tetragonal
* SG: I4/mmm, No. 139
* formation energy from the elements: -1749 kJ/mol of formula units

Cell: 3.791 3.791 12.094 Å, 90.00 90.00 90.00°
Fractional coordinates of all 14 atoms:
Eu: 0.000 0.000 0.141
Eu: 0.000 0.000 0.859
Eu: 0.500 0.500 0.359
Eu: 0.500 0.500 0.641
Co: 0.000 0.000 0.500
Co: 0.500 0.500 0.000
O: 0.000 0.000 0.336
O: 0.000 0.000 0.664
O: 0.000 0.500 0.000
O: 0.000 0.500 0.500
O: 0.500 0.000 0.000
O: 0.500 0.000 0.500
O: 0.500 0.500 0.164
O: 0.500 0.500 0.836

Record 10
A plane-wave DFT calculation with PBE+U was carried out for a relaxed structure of Li5Fe2B2O8.

Values from the calculation:
* final energy: -0.23362 hartree per atom
* calculated volume: 10.864 Å³/atom
* crystal system: monoclinic
* SG: Pc, No. 7
* formation energy from the elements: -3729 kJ/mol of formula units

Cell: 6.682 5.208 10.707 Å, 90.00 97.51 90.00°
Fractional coordinates of all 34 atoms:
Li: 0.000 0.071 0.000
Li: 0.000 0.929 0.500
Li: 0.010 0.344 0.848
Li: 0.010 0.656 0.348
Li: 0.123 0.087 0.266
Li: 0.123 0.913 0.766
Li: 0.678 0.420 0.106
Li: 0.678 0.580 0.606
Li: 0.765 0.348 0.397
Li: 0.765 0.652 0.897
Fe: 0.399 0.097 0.530
Fe: 0.399 0.903 0.030
Fe: 0.407 0.398 0.825
Fe: 0.407 0.602 0.325
B: 0.084 0.435 0.616
B: 0.084 0.565 0.116
B: 0.713 0.087 0.747
B: 0.713 0.913 0.247
O: 0.148 0.442 0.229
O: 0.148 0.558 0.729
O: 0.150 0.177 0.608
O: 0.150 0.823 0.108
O: 0.264 0.113 0.904
O: 0.264 0.887 0.404
O: 0.522 0.382 0.472
O: 0.522 0.618 0.972
O: 0.607 0.060 0.151
O: 0.607 0.940 0.651
O: 0.678 0.353 0.756
O: 0.678 0.647 0.256
O: 0.859 0.022 0.333
O: 0.859 0.978 0.833
O: 0.956 0.450 0.022
O: 0.956 0.550 0.522

Record 11
A plane-wave DFT calculation with PBE+U was carried out for a relaxed structure of Li4V3O8.

Values from the calculation:
* final energy: -0.24620 hartree per atom
* calculated volume: 10.161 Å³/atom
* distance to the lowest polymorph of the same formula: 0.014 eV/atom
* crystal system: triclinic
* SG: P1, No. 1
* formation energy from the elements: -3533 kJ/mol of formula units

Cell: 5.853 6.149 10.132 Å, 105.97 90.11 118.32°
Fractional coordinates of all 30 atoms:
Li: 0.000 0.000 0.000
Li: 0.028 0.076 0.683
Li: 0.062 0.145 0.359
Li: 0.276 0.573 0.430
Li: 0.489 0.000 0.501
Li: 0.539 0.077 0.182
Li: 0.576 0.146 0.860
Li: 0.786 0.573 0.929
V: 0.025 0.566 0.682
V: 0.033 0.566 0.181
V: 0.276 0.575 0.932
V: 0.532 0.580 0.680
V: 0.540 0.580 0.179
V: 0.787 0.574 0.433
O: 0.111 0.783 0.547
O: 0.162 0.784 0.046
O: 0.164 0.368 0.571
O: 0.185 0.365 0.062
O: 0.376 0.781 0.289
O: 0.381 0.781 0.799
O: 0.420 0.379 0.809
O: 0.448 0.379 0.309
O: 0.634 0.781 0.560
O: 0.636 0.781 0.060
O: 0.671 0.365 0.563
O: 0.695 0.369 0.071
O: 0.890 0.778 0.299
O: 0.896 0.781 0.789
O: 0.914 0.361 0.309
O: 0.936 0.358 0.809

Record 12
A plane-wave DFT calculation with PBE+U was carried out for a relaxed structure of Li4TiNi3O8.

Values from the calculation:
* final energy: -0.20949 hartree per atom
* calculated volume: 9.010 Å³/atom
* distance to the lowest polymorph of the same formula: 0.006 eV/atom
* crystal system: monoclinic
* SG: C2/m, No. 12
* formation energy from the elements: -3075 kJ/mol of formula units

Cell: 5.878 5.878 5.883 Å, 119.50 119.50 59.41°
Fractional coordinates of all 16 atoms:
Li: 0.000 0.000 0.000
Li: 0.000 0.500 0.000
Li: 0.500 0.000 0.000
Li: 0.500 0.500 0.000
Ti: 0.000 0.000 0.500
Ni: 0.000 0.500 0.500
Ni: 0.500 0.000 0.500
Ni: 0.500 0.500 0.500
O: 0.239 0.239 0.728
O: 0.240 0.759 0.263
O: 0.241 0.760 0.737
O: 0.263 0.263 0.285
O: 0.737 0.737 0.715
O: 0.759 0.240 0.263
O: 0.760 0.241 0.737
O: 0.761 0.761 0.272